[1]
Mg5Ni9P7: optimized geometry, GGA-PBE.

The structure in CIF format:
```
data_Mg5Ni9P7
_chemical_formula_sum 'Mg5 Ni9 P7'
_cell_length_a 9.2866
_cell_length_b 9.2866
_cell_length_c 3.6395
_cell_angle_alpha 90.00
_cell_angle_beta 90.00
_cell_angle_gamma 120.00
_space_group_name_H-M_alt 'P -6'
_space_group_IT_number 174
_space_group_name_Hall 'P -6'
loop_
_atom_site_label
_atom_site_type_symbol
_atom_site_fract_x
_atom_site_fract_y
_atom_site_fract_z
Mg1 Mg 0.0000 0.0000 0.0000
Mg2 Mg 0.1071 0.5623 0.5000
Mg3 Mg 0.6667 0.3333 0.5000
Ni1 Ni 0.1711 0.3756 0.0000
Ni2 Ni 0.2784 0.0577 0.5000
Ni3 Ni 0.4050 0.3036 0.0000
P1 P 0.0447 0.8032 0.5000
P2 P 0.3333 0.6667 0.0000
P3 P 0.4467 0.0906 0.0000
```


[2]
Mg2Ni3P: optimized geometry, GGA-PBE.

The structure in CIF format:
```
data_Mg2Ni3P
_chemical_formula_sum 'Mg6 Ni9 P3'
_cell_length_a 4.9823
_cell_length_b 4.9823
_cell_length_c 10.8170
_cell_angle_alpha 90.00
_cell_angle_beta 90.00
_cell_angle_gamma 120.00
_space_group_name_H-M_alt 'R -3 m'
_space_group_IT_number 166
_space_group_name_Hall '-R 3 2"'
loop_
_atom_site_label
_atom_site_type_symbol
_atom_site_fract_x
_atom_site_fract_y
_atom_site_fract_z
Mg1 Mg 0.0000 0.0000 0.1259
Ni1 Ni 0.0000 0.5000 0.0000
P1 P 0.0000 0.0000 0.5000
```


[3]
Mg8Ni3Pd: optimized geometry, GGA-PBE.

For the spin magnetization, the calculation gives 0.000 μB per formula unit.

The structure in CIF format:
```
data_Mg8Ni3Pd
_chemical_formula_sum 'Mg24 Ni9 Pd3'
_cell_length_a 5.2581
_cell_length_b 26.1689
_cell_length_c 5.2896
_cell_angle_alpha 90.00
_cell_angle_beta 119.64
_cell_angle_gamma 90.00
_space_group_name_H-M_alt 'P 1 2 1'
_space_group_IT_number 3
_space_group_name_Hall 'P 2y'
loop_
_atom_site_label
_atom_site_type_symbol
_atom_site_fract_x
_atom_site_fract_y
_atom_site_fract_z
Mg1 Mg 0.0000 0.0575 0.0000
Mg2 Mg 0.0000 0.1067 0.5000
Mg3 Mg 0.0000 0.2238 0.5000
Mg4 Mg 0.0000 0.4407 0.0000
Mg5 Mg 0.0000 0.5565 0.0000
Mg6 Mg 0.0000 0.6078 0.5000
Mg7 Mg 0.0000 0.7241 0.5000
Mg8 Mg 0.0000 0.9411 0.0000
Mg9 Mg 0.1735 0.3304 0.8398
Mg10 Mg 0.1734 0.8306 0.8395
Mg11 Mg 0.3326 0.6667 0.1602
Mg12 Mg 0.3351 0.1652 0.1658
Mg13 Mg 0.3385 0.4985 0.6780
Mg14 Mg 0.3406 0.0000 0.6746
Mg15 Mg 0.5000 0.2730 0.5000
Mg16 Mg 0.5000 0.3894 0.5000
Mg17 Mg 0.5000 0.7731 0.5000
Mg18 Mg 0.5000 0.8894 0.5000
Ni1 Ni 0.0000 0.2482 0.0000
Ni2 Ni 0.0000 0.7486 0.0000
Ni3 Ni 0.5000 0.0823 0.0000
Ni4 Ni 0.5000 0.0824 0.5000
Ni5 Ni 0.5000 0.2481 0.0000
Ni6 Ni 0.5000 0.4148 0.0000
Ni7 Ni 0.5000 0.5824 0.0000
Ni8 Ni 0.5000 0.7486 0.0000
Ni9 Ni 0.5000 0.9152 0.0000
Pd1 Pd 0.0000 0.4147 0.5000
Pd2 Pd 0.0000 0.9152 0.5000
Pd3 Pd 0.5000 0.5825 0.5000
```


[4]
Pr4MgNi: optimized geometry, GGA-PBE.

The structure in CIF format:
```
data_Pr4MgNi
_chemical_formula_sum 'Pr64 Mg16 Ni16'
_cell_length_a 14.1974
_cell_length_b 14.1974
_cell_length_c 14.1974
_cell_angle_alpha 90.00
_cell_angle_beta 90.00
_cell_angle_gamma 90.00
_space_group_name_H-M_alt 'F -4 3 m'
_space_group_IT_number 216
_space_group_name_Hall 'F -4 2 3'
loop_
_atom_site_label
_atom_site_type_symbol
_atom_site_fract_x
_atom_site_fract_y
_atom_site_fract_z
Pr1 Pr 0.0000 0.0000 0.1856
Pr2 Pr 0.0606 0.2500 0.7500
Pr3 Pr 0.0955 0.0955 0.4045
Mg1 Mg 0.1711 0.1711 0.1711
Ni1 Ni 0.1082 0.1082 0.6082
```


[5]
PrMg2Ni9: optimized geometry, GGA-PBE.

The structure in CIF format:
```
data_PrMg2Ni9
_chemical_formula_sum 'Pr3 Mg6 Ni27'
_cell_length_a 4.8964
_cell_length_b 4.8964
_cell_length_c 23.6058
_cell_angle_alpha 90.00
_cell_angle_beta 90.00
_cell_angle_gamma 120.00
_space_group_name_H-M_alt 'R -3 m'
_space_group_IT_number 166
_space_group_name_Hall '-R 3 2"'
loop_
_atom_site_label
_atom_site_type_symbol
_atom_site_fract_x
_atom_site_fract_y
_atom_site_fract_z
Pr1 Pr 0.0000 0.0000 0.0000
Mg1 Mg 0.0000 0.0000 0.1446
Ni1 Ni 0.0000 0.0000 0.3337
Ni2 Ni 0.0000 0.0000 0.5000
Ni3 Ni 0.0026 0.5013 0.9148
```


[6]
Pr2MgNi9: optimized geometry, GGA-PBE.

For the spin magnetization, the calculation gives 1.795 μB per formula unit.

The structure in CIF format:
```
data_Pr2MgNi9
_chemical_formula_sum 'Pr6 Mg3 Ni27'
_cell_length_a 4.9925
_cell_length_b 4.9925
_cell_length_c 24.1615
_cell_angle_alpha 90.00
_cell_angle_beta 90.00
_cell_angle_gamma 120.00
_space_group_name_H-M_alt 'R 3 m'
_space_group_IT_number 160
_space_group_name_Hall 'R 3 -2"'
loop_
_atom_site_label
_atom_site_type_symbol
_atom_site_fract_x
_atom_site_fract_y
_atom_site_fract_z
Pr1 Pr 0.0000 0.0000 0.0000
Pr2 Pr 0.0000 0.0000 0.1476
Mg1 Mg 0.0000 0.0000 0.2820
Ni1 Ni 0.0000 0.0000 0.4756
Ni2 Ni 0.0000 0.0000 0.6421
Ni3 Ni 0.0000 0.0000 0.8098
Ni4 Ni 0.0011 0.5006 0.0608
Ni5 Ni 0.0010 0.5005 0.2260
```


[7]
Pr2MgNi2: optimized geometry, GGA-PBE.

The structure in CIF format:
```
data_Pr2MgNi2
_chemical_formula_sum 'Pr4 Mg2 Ni4'
_cell_length_a 7.5479
_cell_length_b 7.5479
_cell_length_c 3.9029
_cell_angle_alpha 90.00
_cell_angle_beta 90.00
_cell_angle_gamma 90.00
_space_group_name_H-M_alt 'P 4/m b m'
_space_group_IT_number 127
_space_group_name_Hall '-P 4 2ab'
loop_
_atom_site_label
_atom_site_type_symbol
_atom_site_fract_x
_atom_site_fract_y
_atom_site_fract_z
Pr1 Pr 0.1750 0.3250 0.0000
Mg1 Mg 0.0000 0.0000 0.5000
Ni1 Ni 0.1187 0.6187 0.5000
```


[8]
PrMg3Ni8: optimized geometry, GGA-PBE.

For the spin magnetization, the calculation gives 0.316 μB per formula unit.

The structure in CIF format:
```
data_PrMg3Ni8
_chemical_formula_sum 'Pr3 Mg9 Ni24'
_cell_length_a 4.9223
_cell_length_b 4.9223
_cell_length_c 24.0924
_cell_angle_alpha 90.00
_cell_angle_beta 90.00
_cell_angle_gamma 120.00
_space_group_name_H-M_alt 'R 3 m'
_space_group_IT_number 160
_space_group_name_Hall 'R 3 -2"'
loop_
_atom_site_label
_atom_site_type_symbol
_atom_site_fract_x
_atom_site_fract_y
_atom_site_fract_z
Pr1 Pr 0.0000 0.0000 0.0000
Mg1 Mg 0.0000 0.0000 0.1287
Mg2 Mg 0.0000 0.0000 0.4989
Mg3 Mg 0.0000 0.0000 0.6190
Ni1 Ni 0.0000 0.0000 0.3115
Ni2 Ni 0.0000 0.0000 0.8124
Ni3 Ni 0.0022 0.5011 0.0650
Ni4 Ni 0.1688 0.3375 0.8930
```


Number 1: V 12.94 Å³ per atom, energy of formation -0.5894 eV/atom. Number 2: V 12.92 Å³ per atom, energy of formation -0.4834 eV/atom. Number 3: V 17.57 Å³ per atom, energy of formation -0.2598 eV/atom. Number 4: V 29.81 Å³ per atom, energy of formation -0.1482 eV/atom. Number 5: V 13.61 Å³ per atom, energy of formation -0.2381 eV/atom. Number 6: V 14.49 Å³ per atom, energy of formation -0.2804 eV/atom. Number 7: V 22.24 Å³ per atom, energy of formation -0.2802 eV/atom. Number 8: V 14.04 Å³ per atom, energy of formation -0.2457 eV/atom.